[1]
Below is Sr2TmReO6 after structural relaxation, with properties calculated at the PBE level.

Lattice parameters (Å, degrees): 8.2844 8.2844 8.2844 90.00 90.00 90.00
Space group Fm-3m (No. 225)
Symmetry-distinct sites (fractional):
Sr: 0.2500 0.2500 0.2500 [8 per cell]
Tm: 0.0000 0.0000 0.0000 [4 per cell]
Re: 0.0000 0.0000 0.5000 [4 per cell]
O: 0.0000 0.0000 0.2620 [24 per cell]

Results
Formation enthalpy at 0 K ... -3050.3 meV per atom
ρ ... 7.3 g/cm³
Total moment ... 8.00 μB per cell

[2]
Below is Sr2YReO6 after structural relaxation, with properties calculated at the PBE level.

Lattice parameters (Å, degrees): 8.3563 8.3563 8.3563 90.00 90.00 90.00
Space group Fm-3m (No. 225)
Symmetry-distinct sites (fractional):
Sr: 0.2500 0.2500 0.2500 [8 per cell]
Y: 0.0000 0.0000 0.0000 [4 per cell]
Re: 0.0000 0.0000 0.5000 [4 per cell]
O: 0.0000 0.0000 0.2643 [24 per cell]

Results
Formation enthalpy at 0 K ... -2994.2 meV per atom
ρ ... 6.2 g/cm³
Total moment ... 8.00 μB per cell

[3]
Below is Tb3ReO7 after structural relaxation, with properties calculated at the PBE level.

Lattice parameters (Å, degrees): 10.6147 7.4436 7.4654 90.00 90.00 90.00
Space group Cmcm (No. 63)
Symmetry-distinct sites (fractional):
Tb: 0.0000 0.0000 0.0000 [4 per cell]
Tb: 0.2323 0.2872 0.2500 [8 per cell]
Re: 0.0000 0.5000 0.0000 [4 per cell]
O: 0.0000 0.4502 0.2500 [4 per cell]
O: 0.1268 0.3036 0.5289 [16 per cell]
O: 0.1335 0.0213 0.2500 [8 per cell]

Results
Formation enthalpy at 0 K ... -3345.4 meV per atom
ρ ... 8.7 g/cm³
Total moment ... 6.45 μB per cell

[4]
Below is Tb5Re2O12 after structural relaxation, with properties calculated at the PBE level.

Lattice parameters (Å, degrees): 12.5217 5.6984 7.6089 90.00 107.95 90.00
Space group C2/m (No. 12)
Symmetry-distinct sites (fractional):
Tb: 0.0000 0.0000 0.0000 [2 per cell]
Tb: 0.1861 0.5000 0.3261 [4 per cell]
Tb: 0.1961 0.5000 0.8595 [4 per cell]
Re: 0.0000 0.2146 0.5000 [4 per cell]
O: 0.0001 0.0000 0.2943 [4 per cell]
O: 0.0006 0.5000 0.6760 [4 per cell]
O: 0.1538 0.2524 0.0750 [8 per cell]
O: 0.1646 0.2537 0.5856 [8 per cell]

Results
Formation enthalpy at 0 K ... -3346.3 meV per atom
ρ ... 8.7 g/cm³

[5]
Below is ReTeO3 after structural relaxation, with properties calculated at the PBE level.

Lattice parameters (Å, degrees): 4.0055 4.0055 4.0055 90.00 90.00 90.00
Space group Pm-3m (No. 221)
Symmetry-distinct sites (fractional):
Re: 0.0000 0.0000 0.0000 [1 per cell]
Te: 0.5000 0.5000 0.5000 [1 per cell]
O: 0.0000 0.0000 0.5000 [3 per cell]

Results
Formation enthalpy at 0 K ... -913.7 meV per atom
ρ ... 9.3 g/cm³
Total moment ... 0.10 μB per cell

[6]
Below is TlReO4 after structural relaxation, with properties calculated at the PBE level.

Lattice parameters (Å, degrees): 17.8303 13.5804 5.8367 90.00 90.60 90.00
Space group P2_1/c (No. 14)
Symmetry-distinct sites (fractional):
Tl: 0.0799 0.1291 0.4793 [4 per cell]
Tl: 0.2476 0.6300 0.9923 [4 per cell]
Tl: 0.4147 0.1241 0.4923 [4 per cell]
Re: 0.0832 0.6152 0.5300 [4 per cell]
Re: 0.2494 0.1234 0.9857 [4 per cell]
Re: 0.4174 0.6264 0.4949 [4 per cell]
O: 0.0081 0.6901 0.4406 [4 per cell]
O: 0.0755 0.5878 0.8237 [4 per cell]
O: 0.0818 0.5065 0.3680 [4 per cell]
O: 0.1685 0.6768 0.4837 [4 per cell]
O: 0.1800 0.2011 0.8700 [4 per cell]
O: 0.2131 0.0577 0.2189 [4 per cell]
O: 0.2789 0.0415 0.7712 [4 per cell]
O: 0.3270 0.1932 0.0795 [4 per cell]
O: 0.3482 0.7019 0.3694 [4 per cell]
O: 0.3767 0.5554 0.7128 [4 per cell]
O: 0.4546 0.5495 0.2821 [4 per cell]
O: 0.4901 0.6982 0.6127 [4 per cell]

Results
Formation enthalpy at 0 K ... -1999.8 meV per atom
ρ ... 6.4 g/cm³